Ca2CrWO6 | Materials Project | PBE+U | optimized geometry; DFT formation energy = -2768 meV/atom; piezoelectric modulus e_max = 0.96 C/m²; M_tot = 2.0 μB/cell; crystal system = triclinic
1.0
-3.3135 -3.6494 2.4618
0.7359 -0.2790 -5.4590
5.4531 -0.3173 0.8845
Ca O W Cr
2 6 1 1
Direct
0.4776 0.2302 0.7419
0.5133 0.7672 0.2414
0.4797 0.7887 0.7979
0.0116 0.8192 0.3009
0.8850 0.6625 0.7359
0.4868 0.2206 0.1729
0.0650 0.3439 0.2142
0.9589 0.1902 0.6673
0.9847 0.0031 0.9840
0.9846 0.5030 0.4840